Record 1
This record from Materials Project describes a relaxed structure of TlS3. The functional is GGA-PBE.

Computed properties:
formation energy from the elements: 0.03 eV per atom

Geometry as CIF:
```
data_TlS3
_symmetry_space_group_name_H-M 'P 63/m m c'
_symmetry_Int_Tables_number 194
_symmetry_space_group_name_Hall '-P 6c 2c'
_cell_length_a 7.7162
_cell_length_b 7.7162
_cell_length_c 3.5334
_cell_angle_alpha 90.00
_cell_angle_beta 90.00
_cell_angle_gamma 120.00
loop_
_atom_site_label
_atom_site_type_symbol
_atom_site_fract_x
_atom_site_fract_y
_atom_site_fract_z
Tl1 Tl 0.3333 0.6667 0.2500
S1 S 0.1356 0.2711 0.7500
```


Record 2
This record from Materials Project describes a relaxed structure of Zr3W5. The functional is GGA-PBE.

Computed properties:
formation energy from the elements: 0.44 eV per atom

Geometry as CIF:
```
data_Zr3W5
_symmetry_space_group_name_H-M 'I 4/m c m'
_symmetry_Int_Tables_number 140
_symmetry_space_group_name_Hall '-I 4 2c'
_cell_length_a 10.661
_cell_length_b 10.661
_cell_length_c 5.313
_cell_angle_alpha 90.00
_cell_angle_beta 90.00
_cell_angle_gamma 90.00
loop_
_atom_site_label
_atom_site_type_symbol
_atom_site_fract_x
_atom_site_fract_y
_atom_site_fract_z
Zr1 Zr 0.000 0.000 0.250
Zr2 Zr 0.188 0.312 0.000
W1 W 0.000 0.500 0.250
W2 W 0.058 0.258 0.500
```


Record 3
This record from Materials Project describes a relaxed structure of BaLi2P2O7. The functional is GGA-PBE.

Computed properties:
formation energy from the elements: -2.96 eV per atom

Geometry as CIF:
```
data_BaLi2P2O7
_symmetry_space_group_name_H-M 'C 1 2/c 1'
_symmetry_Int_Tables_number 15
_cell_length_a 7.224
_cell_length_b 12.350
_cell_length_c 13.996
_cell_angle_alpha 90.00
_cell_angle_beta 90.66
_cell_angle_gamma 90.00
loop_
_symmetry_equiv_pos_as_xyz
'x,y,z'
'-x,-y,-z'
'-x,y,-z+1/2'
'x,-y,z+1/2'
'x+1/2,y+1/2,z'
'-x+1/2,-y+1/2,-z'
'-x+1/2,y+1/2,-z+1/2'
'x+1/2,-y+1/2,z+1/2'
loop_
_atom_site_label
_atom_site_type_symbol
_atom_site_fract_x
_atom_site_fract_y
_atom_site_fract_z
Ba1 Ba 0.186 0.026 0.121
Li1 Li 0.000 0.233 0.250
Li2 Li 0.000 0.234 0.750
Li3 Li 0.035 0.234 0.509
P1 P 0.181 0.395 0.619
P2 P 0.220 0.370 0.135
O1 O 0.007 0.326 0.635
O2 O 0.087 0.277 0.113
O3 O 0.093 0.481 0.122
O4 O 0.123 0.114 0.937
O5 O 0.172 0.111 0.301
O6 O 0.214 0.133 0.761
O7 O 0.239 0.126 0.480
```


Record 4
This record from Materials Project describes a relaxed structure of BaCO3. The functional is GGA-PBE.

Computed properties:
largest piezoelectric modulus: 0.62 C/m2
formation energy from the elements: -2.66 eV per atom

Geometry as CIF:
```
data_BaCO3
_symmetry_space_group_name_H-M 'R 3 m'
_symmetry_Int_Tables_number 160
_symmetry_space_group_name_Hall 'R 3 -2"'
_cell_length_a 5.3935
_cell_length_b 5.3935
_cell_length_c 9.4598
_cell_angle_alpha 90.00
_cell_angle_beta 90.00
_cell_angle_gamma 120.00
loop_
_atom_site_label
_atom_site_type_symbol
_atom_site_fract_x
_atom_site_fract_y
_atom_site_fract_z
Ba1 Ba 0.0000 0.0000 0.0000
C1 C 0.0000 0.0000 0.5520
O1 O 0.1940 0.3881 0.2214
```